# 1
# Ca3Co2O6 (PBE+U, relaxed)
data_Ca3Co2O6
_space_group_name_H-M_alt 'P 1'
_space_group_IT_number 1
_space_group_name_Hall 'P 1'
_cell_length_a 6.327
_cell_length_b 6.340
_cell_length_c 6.367
_cell_angle_alpha 91.99
_cell_angle_beta 92.02
_cell_angle_gamma 92.10
loop_
_atom_site_label
_atom_site_type_symbol
_atom_site_fract_x
_atom_site_fract_y
_atom_site_fract_z
Ca1 Ca 0.000 0.000 0.000
Ca2 Ca 0.131 0.869 0.500
Ca3 Ca 0.363 0.363 0.271
Ca4 Ca 0.496 0.230 0.772
Ca5 Ca 0.630 0.732 0.638
Ca6 Ca 0.864 0.498 0.136
Co1 Co 0.246 0.614 0.885
Co2 Co 0.503 0.860 0.139
Co3 Co 0.746 0.114 0.385
Co4 Co 0.994 0.373 0.636
O1 O 0.032 0.196 0.338
O2 O 0.166 0.330 0.934
O3 O 0.205 0.701 0.171
O4 O 0.290 0.530 0.599
O5 O 0.329 0.899 0.838
O6 O 0.462 0.036 0.435
O7 O 0.534 0.571 0.967
O8 O 0.662 0.159 0.101
O9 O 0.704 0.402 0.468
O10 O 0.791 0.827 0.304
O11 O 0.833 0.071 0.670
O12 O 0.959 0.661 0.805
# **Energy of formation from the pure elements**: -26.2 eV per formula unit
# **ΔE to the lowest computed polymorph**: 18 meV/atom

***

# 2
# Ca3Co4O9 (PBE+U, relaxed)
data_Ca3Co4O9
_space_group_name_H-M_alt 'C m m 2'
_space_group_IT_number 35
_space_group_name_Hall 'C 2 -2'
_cell_length_a 14.491
_cell_length_b 16.968
_cell_length_c 5.329
_cell_angle_alpha 90.00
_cell_angle_beta 90.00
_cell_angle_gamma 90.00
loop_
_atom_site_label
_atom_site_type_symbol
_atom_site_fract_x
_atom_site_fract_y
_atom_site_fract_z
Ca1 Ca 0.000 0.000 0.000
Ca2 Ca 0.000 0.401 0.085
Ca3 Ca 0.129 0.211 0.037
Ca4 Ca 0.240 0.000 0.052
Co1 Co 0.000 0.264 0.525
Co2 Co 0.110 0.093 0.513
Co3 Co 0.115 0.500 0.599
Co4 Co 0.201 0.336 0.564
O1 O 0.000 0.154 0.402
O2 O 0.000 0.270 0.859
O3 O 0.000 0.500 0.777
O4 O 0.100 0.308 0.349
O5 O 0.106 0.000 0.327
O6 O 0.107 0.500 0.267
O7 O 0.113 0.090 0.844
O8 O 0.167 0.415 0.773
O9 O 0.209 0.139 0.328
O10 O 0.250 0.250 0.758
# **Energy of formation from the pure elements**: -31.8 eV per formula unit